BaSr4U3O14 | r2SCAN | relaxed

a b c (Å): 11.399 11.411 11.010
angles (deg): 90.00 90.00 90.00
Space group Cmce (No. 64)
Inequivalent atoms, fractional coordinates:
Ba1 0.000 0.000 0.000 [4 per cell]
Sr1 0.000 0.249 0.276 [8 per cell]
Sr2 0.250 0.021 0.250 [8 per cell]
U1 0.000 0.000 0.500 [4 per cell]
U2 0.250 0.250 0.000 [8 per cell]
O1 0.000 0.064 0.664 [8 per cell]
O2 0.127 0.120 0.426 [16 per cell]
O3 0.141 0.174 0.124 [16 per cell]
O4 0.170 0.138 0.882 [16 per cell]

Summary:
Uncorrected energy = -22.11 eV per atom
Formation energy from the elements = -75.9 eV per formula unit